The following is a PBE-GGA calculation of Hf9Re4As after structural relaxation, from Materials Project.

a b c (Å): 8.629 8.629 8.646
angles (deg): 90.00 90.00 120.19
Element x y z (fractional)
Hf: 0.806 0.612 0.545
Hf: 0.805 0.195 0.545
Hf: 0.388 0.194 0.545
Hf: 0.194 0.388 0.455
Hf: 0.195 0.805 0.455
Hf: 0.612 0.806 0.455
Hf: 0.194 0.388 0.045
Hf: 0.195 0.805 0.045
Hf: 0.612 0.806 0.045
Hf: 0.806 0.612 0.955
Hf: 0.805 0.195 0.955
Hf: 0.388 0.194 0.955
Hf: 0.460 0.919 0.750
Hf: 0.459 0.541 0.750
Hf: 0.081 0.540 0.750
Hf: 0.540 0.081 0.250
Hf: 0.541 0.459 0.250
Hf: 0.919 0.460 0.250
Re: 0.109 0.217 0.750
Re: 0.109 0.891 0.750
Re: 0.783 0.891 0.750
Re: 0.891 0.783 0.250
Re: 0.891 0.109 0.250
Re: 0.217 0.109 0.250
Re: 0.000 0.000 0.500
Re: 0.000 0.000 0.000
As: 0.667 0.333 0.750
As: 0.333 0.667 0.250

Summary:
* space-group type: Cmcm (63)
* total DFT energy (no corrections): -10.698 eV/atom
* E_form: -0.4091 eV per atom


The following is a PBE-GGA calculation of Ca2AsH4F13 after structural relaxation, from Materials Project.

a b c (Å): 7.312 7.312 17.780
angles (deg): 90.00 90.00 90.00
Element x y z (fractional)
Ca: 0.279 0.256 0.785
Ca: 0.721 0.744 0.285
Ca: 0.744 0.279 0.535
Ca: 0.256 0.721 0.035
Ca: 0.721 0.256 0.215
Ca: 0.279 0.744 0.715
Ca: 0.256 0.279 0.465
Ca: 0.744 0.721 0.965
As: 0.783 0.000 0.750
As: 0.217 0.000 0.250
As: 0.000 0.783 0.500
As: 0.000 0.217 0.000
H: 0.465 0.384 0.939
H: 0.535 0.616 0.439
H: 0.616 0.465 0.689
H: 0.384 0.535 0.189
H: 0.535 0.384 0.061
H: 0.465 0.616 0.561
H: 0.384 0.465 0.311
H: 0.616 0.535 0.811
H: 0.113 0.628 0.872
H: 0.887 0.372 0.372
H: 0.372 0.113 0.622
H: 0.628 0.887 0.122
H: 0.887 0.628 0.128
H: 0.113 0.372 0.628
H: 0.628 0.113 0.378
H: 0.372 0.887 0.878
F: 0.614 0.167 0.767
F: 0.386 0.833 0.267
F: 0.833 0.614 0.517
F: 0.167 0.386 0.017
F: 0.386 0.167 0.233
F: 0.614 0.833 0.733
F: 0.167 0.614 0.483
F: 0.833 0.386 0.983
F: 0.782 0.945 0.846
F: 0.218 0.055 0.346
F: 0.055 0.782 0.596
F: 0.945 0.218 0.096
F: 0.218 0.945 0.154
F: 0.782 0.055 0.654
F: 0.945 0.782 0.404
F: 0.055 0.218 0.904
F: 0.956 0.167 0.764
F: 0.044 0.833 0.264
F: 0.833 0.956 0.514
F: 0.167 0.044 0.014
F: 0.044 0.167 0.236
F: 0.956 0.833 0.736
F: 0.167 0.956 0.486
F: 0.833 0.044 0.986
F: 0.438 0.295 0.898
F: 0.562 0.705 0.398
F: 0.705 0.438 0.648
F: 0.295 0.562 0.148
F: 0.562 0.295 0.102
F: 0.438 0.705 0.602
F: 0.295 0.438 0.352
F: 0.705 0.562 0.852
F: 0.494 0.500 0.750
F: 0.506 0.500 0.250
F: 0.500 0.494 0.500
F: 0.500 0.506 0.000
F: 0.171 0.564 0.820
F: 0.829 0.436 0.320
F: 0.436 0.171 0.570
F: 0.564 0.829 0.070
F: 0.829 0.564 0.180
F: 0.171 0.436 0.680
F: 0.564 0.171 0.430
F: 0.436 0.829 0.930
F: 0.303 0.942 0.822
F: 0.697 0.058 0.322
F: 0.058 0.303 0.572
F: 0.942 0.697 0.072
F: 0.697 0.942 0.178
F: 0.303 0.058 0.678
F: 0.942 0.303 0.428
F: 0.058 0.697 0.928

Summary:
* space-group type: P4_322 (95)
* total DFT energy (no corrections): -4.799 eV/atom
* E_form: -2.7430 eV per atom


The following is a PBE-GGA calculation of TmAsS after structural relaxation, from Materials Project.

a b c (Å): 3.790 3.801 16.831
angles (deg): 90.00 90.00 90.00
Element x y z (fractional)
Tm: 0.250 0.221 0.854
Tm: 0.250 0.279 0.354
Tm: 0.750 0.779 0.146
Tm: 0.750 0.721 0.646
As: 0.750 0.224 0.501
As: 0.750 0.276 0.001
As: 0.250 0.776 0.499
As: 0.250 0.724 0.999
S: 0.250 0.220 0.687
S: 0.250 0.280 0.187
S: 0.750 0.780 0.313
S: 0.750 0.720 0.813

Summary:
* space-group type: Pnma (62)
* total DFT energy (no corrections): -5.945 eV/atom
* E_form: -1.6885 eV per atom


The following is a PBE-GGA calculation of TaAlFe4 after structural relaxation, from Materials Project.

a b c (Å): 4.780 4.780 7.691
angles (deg): 90.00 90.00 120.00
Element x y z (fractional)
Ta: 0.667 0.333 0.923
Ta: 0.333 0.667 0.077
Al: 0.333 0.667 0.444
Al: 0.667 0.333 0.556
Fe: 0.000 0.000 0.500
Fe: 0.000 0.000 0.000
Fe: 0.831 0.169 0.252
Fe: 0.831 0.661 0.252
Fe: 0.339 0.169 0.252
Fe: 0.169 0.831 0.748
Fe: 0.169 0.339 0.748
Fe: 0.661 0.831 0.748

Summary:
* space-group type: P-3m1 (164)
* total DFT energy (no corrections): -8.447 eV/atom
* E_form: -0.1999 eV per atom